a:
The following is a DFT calculation (GGA-PBE) of Cd2GaAgSe4 after structural relaxation.

Lattice parameters (Å, degrees): 8.1435 8.1435 7.5098 64.28 64.28 30.24
With the nearest neighbours (Å) after each atom.
Atoms (fractional coordinates):
1 Ag 0.2525 0.2525 0.0754  4 Se 2.64-2.71
2 Ga 0.7513 0.7513 0.5956  4 Se 2.42-2.57
3 Se 0.5730 0.5730 0.7653  1 Ga 2.50, 3 Cd 2.72-2.75
4 Cd 0.0007 0.0007 0.6525  4 Se 2.61-2.72
5 Se 0.0645 0.0645 0.2664  3 Cd 2.61, 1 Ag 2.64
6 Se 0.3010 0.3010 0.3792  2 Ga 2.57, 1 Ag 2.71, 1 Cd 2.75
7 Se 0.8115 0.8115 0.8414  1 Ga 2.42, 2 Ag 2.64, 1 Cd 2.66
8 Cd 0.4967 0.4967 0.1741  4 Se 2.61-2.75

Its crystal system is monoclinic.

b:
The following is a DFT calculation (GGA-PBE) of Cd2GaAgSe4 after structural relaxation.

Lattice parameters (Å, degrees): 4.2845 7.0544 7.5196 89.65 90.00 90.00
With the nearest neighbours (Å) after each atom.
Atoms (fractional coordinates):
1 Cd 0.5000 0.4666 0.8183  4 Se 2.60-2.89
2 Se 0.5000 0.0979 0.8369  2 Cd 2.59-2.60, 2 Ag 2.59
3 Ag 0.0000 0.9899 0.6723  4 Se 2.59-2.68
4 Se 0.0000 0.6120 0.6393  1 Ga 2.45, 1 Ag 2.68, 2 Cd 2.73
5 Se 0.0000 0.1303 0.3431  1 Ga 2.43, 1 Ag 2.66, 2 Cd 2.69
6 Ga 0.0000 0.4746 0.3412  4 Se 2.43-2.61
7 Cd 0.5000 0.9976 0.1682  4 Se 2.59-2.81
8 Se 0.5000 0.5999 0.1806  2 Ga 2.61, 2 Cd 2.81-2.89

Its crystal system is monoclinic.

Which one sits at the bottom of the stability order? b does.

a:
The following is a DFT calculation (GGA-PBE) of Mg5Si9 after structural relaxation.

Lattice parameters (Å, degrees): 6.7981 7.0637 12.7366 100.91 85.48 116.82
With the nearest neighbours (Å) after each atom.
Atoms (fractional coordinates):
1 Mg 0.3808 0.8674 0.4553  6 Si 2.78-3.12
2 Si 0.5888 0.3286 0.2749  3 Si 2.38-2.45
3 Mg 0.5631 0.2990 0.6280  6 Si 2.73-3.05, 1 Mg 2.95
4 Si 0.5480 0.9191 0.6848  3 Si 2.42-2.62
5 Mg 0.9424 0.3925 0.9003  6 Si 2.69-2.99
6 Mg 0.9769 0.1964 0.6214  4 Si 2.79-3.00, 1 Mg 3.11
7 Mg 0.0317 0.4992 0.2587  6 Si 2.70-2.94
8 Si 0.0513 0.1263 0.1336  4 Si 2.41-2.67
9 Si 0.7391 0.2445 0.4152  2 Si 2.41
10 Si 0.3693 0.5709 0.7708  4 Si 2.43-2.62, 1 Mg 2.69
11 Si 0.5276 0.3523 0.9491  3 Si 2.38-2.45
12 Mg 0.8174 0.6666 0.1131  7 Si 2.77-3.05
13 Si 0.7201 0.6478 0.8511  4 Si 2.39-2.46
14 Mg 0.6369 0.1195 0.0755  6 Si 2.71-2.95
15 Si 0.7641 0.9594 0.2855  4 Si 2.41-2.67
16 Si 0.9683 0.5809 0.7196  2 Si 2.41-2.42
17 Si 0.2063 0.2047 0.8312  4 Si 2.44-2.56, 2 Mg 2.69-2.72
18 Si 0.3512 0.4703 0.0982  4 Si 2.34-2.46
19 Si 0.3982 0.5604 0.5788  2 Si 2.42-2.43, 1 Mg 2.63
20 Mg 0.2862 0.8894 0.8839  8 Si 2.68-2.97
21 Si 0.0265 0.8774 0.3613  2 Si 2.41-2.42, 2 Mg 2.64-2.68
22 Si 0.2398 0.7200 0.0608  2 Si 2.34-2.41
23 Si 0.2640 0.9920 0.2119  4 Si 2.41-2.45
24 Mg 0.1948 0.3020 0.4026  4 Si 2.63-2.93
25 Mg 0.8314 0.6774 0.5262  5 Si 2.68-2.99, 1 Mg 2.95
26 Si 0.4688 0.5989 0.2811  3 Si 2.38-2.42
27 Si 0.9195 0.0025 0.9509  3 Si 2.39-2.45
28 Si 0.1878 0.9350 0.6763  3 Si 2.41-2.51

Its crystal system is triclinic.

b:
The following is a DFT calculation (GGA-PBE) of Mg5Si9 after structural relaxation.

Lattice parameters (Å, degrees): 6.8711 7.1745 12.8113 83.93 77.00 62.89
With the nearest neighbours (Å) after each atom.
Atoms (fractional coordinates):
1 Si 0.2388 0.6088 0.5758  1 Si 2.34
2 Si 0.8218 0.1902 0.8388  4 Si 2.37-2.44
3 Mg 0.2123 0.1810 0.8909  5 Si 2.59-2.88
4 Mg 0.9153 0.5858 0.0516  5 Si 2.70-2.90
5 Si 0.4456 0.9320 0.7184  3 Si 2.45-2.60, 2 Mg 2.69-2.70
6 Si 0.8478 0.0582 0.1474  4 Si 2.38-2.51
7 Mg 0.4588 0.0563 0.2778  7 Si 2.82-2.99
8 Si 0.3584 0.5018 0.2748  3 Si 2.36-2.41
9 Mg 0.6083 0.3644 0.4371  5 Si 2.69-2.96
10 Si 0.0791 0.2561 0.6922  3 Si 2.44-2.63
11 Mg 0.1038 0.4072 0.4625  5 Si 2.71-3.02
12 Si 0.0367 0.0780 0.3816  2 Si 2.39-2.44
13 Si 0.9638 0.2740 0.2200  4 Si 2.36-2.42
14 Si 0.7267 0.7176 0.4057  2 Si 2.41-2.42
15 Si 0.6037 0.1852 0.7210  3 Si 2.37-2.51
16 Si 0.6466 0.6152 0.2530  3 Si 2.41-2.42
17 Si 0.2362 0.4907 0.7537  3 Si 2.34-2.59
18 Mg 0.3505 0.8096 0.1012  5 Si 2.69-2.97
19 Si 0.3369 0.7157 0.8573  4 Si 2.40-2.59
20 Si 0.5104 0.3493 0.1032  4 Si 2.33-2.45
21 Si 0.6394 0.5036 0.9465  3 Si 2.38-2.42
22 Si 0.9770 0.9207 0.9683  3 Si 2.41-2.42
23 Si 0.2725 0.2139 0.0789  2 Si 2.33-2.36, 1 Mg 2.59
24 Mg 0.3151 0.9425 0.5285  5 Si 2.66-2.87
25 Mg 0.8317 0.9147 0.5549  5 Si 2.71-2.95
26 Mg 0.6545 0.5442 0.6351  4 Si 2.69-2.94
27 Mg 0.8037 0.7727 0.8299  6 Si 2.74-3.07
28 Si 0.0041 0.8106 0.2942  4 Si 2.41-2.51

Its crystal system is triclinic.

Which one sits at the bottom of the stability order? a does.

a:
The following is a DFT calculation (GGA-PBE) of Cs after structural relaxation.

Lattice parameters (Å, degrees): 5.1101 5.2852 5.2852 69.67 73.27 106.73
With the nearest neighbours (Å) after each atom.
Atoms (fractional coordinates):
1 Cs 0.5000 0.0000 0.0000  8 Cs 5.11-5.61

Its crystal system is monoclinic.

b:
The following is a DFT calculation (GGA-PBE) of Cs after structural relaxation.

Lattice parameters (Å, degrees): 5.4741 5.4741 17.7559 90.00 90.00 120.00
With the nearest neighbours (Å) after each atom.
Atoms (fractional coordinates):
1 Cs 0.0000 0.0000 0.0000  12 Cs 5.45-5.47
2 Cs 0.3333 0.6667 0.2500  12 Cs 5.45-5.47
3 Cs 0.6667 0.3333 0.7500  12 Cs 5.45-5.47
4 Cs 0.0000 0.0000 0.5000  12 Cs 5.45-5.47

Its crystal system is hexagonal.

Which one sits at the bottom of the stability order? a does.

a:
The following is a DFT calculation (GGA-PBE) of CaSn2O4 after structural relaxation.

Lattice parameters (Å, degrees): 6.7782 6.7782 6.7782 124.08 112.16 93.58
With the nearest neighbours (Å) after each atom.
Atoms (fractional coordinates):
1 Sn 0.6235 0.8735 0.7500  2 O 2.13
2 O 0.2300 0.7219 0.9920  2 Sn 2.13-2.14
3 Ca 0.0000 0.5000 0.5000  6 O 2.36-2.44
4 O 0.8178 0.2519 0.5659  2 Sn 2.11, 1 Ca 2.36
5 O 0.1859 0.2519 0.9341  2 Sn 2.11, 1 Ca 2.36
6 Ca 0.5000 0.5000 0.0000  6 O 2.36-2.44
7 O 0.7700 0.7620 0.4920  2 Sn 2.13-2.14
8 Sn 0.3765 0.1265 0.2500  2 O 2.13
9 O 0.1822 0.7481 0.4341  2 Sn 2.11, 1 Ca 2.36
10 O 0.7700 0.2781 0.0080  2 Sn 2.13-2.14
11 O 0.2300 0.2380 0.5080  2 Sn 2.13-2.14
12 O 0.8141 0.7481 0.0659  2 Sn 2.11, 1 Ca 2.36
13 Sn 0.0000 0.0000 0.5000  6 O 2.11-2.14
14 Sn 0.0000 0.5000 0.0000  6 O 2.11-2.14

Its crystal system is orthorhombic.

b:
The following is a DFT calculation (GGA-PBE) of CaSn2O4 after structural relaxation.

Lattice parameters (Å, degrees): 3.2521 10.2647 12.1933 90.00 90.00 90.00
With the nearest neighbours (Å) after each atom.
Atoms (fractional coordinates):
1 Sn 0.7500 0.0589 0.1111  6 O 2.01-2.21
2 Sn 0.7500 0.5846 0.8930  4 O 2.30-2.51
3 Sn 0.2500 0.4154 0.1070  4 O 2.30-2.51
4 Ca 0.2500 0.2316 0.3390  5 O 2.30-2.46
5 Sn 0.7500 0.0846 0.6070  4 O 2.30-2.51
6 O 0.7500 0.5313 0.6920  2 Sn 2.11
7 O 0.7500 0.7189 0.2944  1 Sn 2.01
8 O 0.2500 0.6128 0.5034  3 Sn 2.20-2.21
9 Sn 0.2500 0.9154 0.3930  4 O 2.30-2.51
10 O 0.7500 0.8872 0.0034  3 Sn 2.20-2.21
11 O 0.2500 0.4687 0.3080  2 Sn 2.11
12 Ca 0.7500 0.2684 0.8390  5 O 2.30-2.46
13 O 0.2500 0.2811 0.7056  1 Sn 2.01
14 O 0.7500 0.0313 0.8080  2 Sn 2.11
15 O 0.7500 0.0725 0.4083  3 Sn 2.30-2.43, 2 Ca 2.45
16 Sn 0.7500 0.5589 0.3889  6 O 2.01-2.21
17 O 0.7500 0.2189 0.2056  1 Sn 2.01
18 O 0.7500 0.3872 0.4966  3 Sn 2.20-2.21
19 O 0.7500 0.5725 0.0917  3 Sn 2.30-2.43, 2 Ca 2.45
20 Ca 0.7500 0.7684 0.6610  5 O 2.30-2.46
21 Ca 0.2500 0.7316 0.1610  5 O 2.30-2.46
22 Sn 0.2500 0.9411 0.8889  6 O 2.01-2.21
23 O 0.2500 0.9275 0.5917  3 Sn 2.30-2.43, 2 Ca 2.45
24 O 0.2500 0.9687 0.1920  2 Sn 2.11
25 O 0.2500 0.1128 0.9966  3 Sn 2.20-2.21
26 Sn 0.2500 0.4411 0.6111  6 O 2.01-2.21
27 O 0.2500 0.7811 0.7944  1 Sn 2.01
28 O 0.2500 0.4275 0.9083  3 Sn 2.30-2.43, 2 Ca 2.45

Its crystal system is orthorhombic.

Which one sits at the bottom of the stability order? b does.

a:
The following is a DFT calculation (GGA-PBE) of MgNi4P4S4 after structural relaxation.

Lattice parameters (Å, degrees): 5.8229 5.7631 5.7890 91.26 91.26 88.83
With the nearest neighbours (Å) after each atom.
Atoms (fractional coordinates):
1 S 0.3984 0.3983 0.3942  1 P 2.17, 2 Ni 2.34-2.42
2 P 0.6457 0.5995 0.5955  1 S 2.17, 1 Ni 2.22, 1 Mg 2.41
3 Ni 0.9914 0.0073 0.0026  2 P 2.22-2.29, 2 S 2.44
4 S 0.8989 0.1058 0.6030  1 P 2.16, 2 Ni 2.35-2.41
5 S 0.6038 0.8967 0.1015  1 P 2.17, 2 Ni 2.35-2.42
6 P 0.8679 0.3658 0.1315  1 S 2.08, 3 Ni 2.29
7 Ni 0.5219 0.0210 0.4804  3 S 2.34-2.35, 1 Mg 2.39, 2 P 2.60-2.62
8 S 0.0678 0.5759 0.9321  1 P 2.08, 1 Mg 2.22
9 P 0.0985 0.9035 0.3570  1 S 2.16, 1 Ni 2.22, 1 Mg 2.42
10 Ni 0.9957 0.4905 0.4884  2 P 2.22-2.29, 2 S 2.41-2.46
11 P 0.4050 0.1428 0.8973  1 S 2.17, 1 Ni 2.22, 1 Mg 2.42
12 Ni 0.5128 0.4962 0.0090  2 P 2.22-2.29, 2 S 2.42
13 Mg 0.2897 0.7823 0.7099  1 S 2.22, 1 Ni 2.39, 3 P 2.41-2.42

Its crystal system is triclinic.

b:
The following is a DFT calculation (GGA-PBE) of MgNi4P4S4 after structural relaxation.

Lattice parameters (Å, degrees): 5.4174 5.5105 7.2620 90.37 94.89 89.95
With the nearest neighbours (Å) after each atom.
Atoms (fractional coordinates):
1 Ni 0.4324 0.9944 0.5630  3 P 2.18-2.37, 2 S 2.21-2.31
2 P 0.4078 0.1257 0.8717  1 S 2.17, 3 Ni 2.23-2.37
3 S 0.3141 0.3758 0.4590  1 P 2.18, 2 Ni 2.24-2.31
4 P 0.0645 0.8560 0.4755  1 S 2.09, 2 Ni 2.14-2.18
5 P 0.9130 0.3646 0.0413  1 S 2.15, 2 Ni 2.16-2.19
6 S 0.6758 0.8866 0.0176  1 P 2.17, 2 Ni 2.20-2.29
7 P 0.5756 0.6118 0.6196  1 S 2.18, 3 Ni 2.24-2.30
8 Ni 0.0549 0.0088 0.9800  2 P 2.16-2.23, 2 S 2.20-2.21
9 Ni 0.9312 0.4952 0.5107  2 P 2.14-2.24, 2 S 2.18-2.24
10 S 0.8176 0.1214 0.5521  1 P 2.09, 2 Ni 2.18-2.21
11 Ni 0.5558 0.5030 0.9239  3 P 2.19-2.30, 2 S 2.24-2.29
12 S 0.1642 0.6256 0.9419  1 P 2.15, 2 Ni 2.21-2.24
13 Mg 0.4025 0.7333 0.2462  3 S 2.47-2.58, 1 P 2.66, 1 Ni 2.70

Its crystal system is triclinic.

Which one sits at the bottom of the stability order? a does.

a:
The following is a DFT calculation (GGA-PBE) of KNaMg6O7 after structural relaxation.

Lattice parameters (Å, degrees): 4.2467 4.2467 10.9881 90.00 90.00 90.00
With the nearest neighbours (Å) after each atom.
Atoms (fractional coordinates):
1 O 0.5000 0.0000 0.0978  3 Mg 2.01-2.13
2 Mg 0.5000 0.5000 0.0824  4 O 2.13
3 O 0.0000 0.5000 0.4750  2 Na 2.13, 4 Mg 2.13-2.18
4 O 0.5000 0.5000 0.6804  5 Mg 2.04-2.12
5 O 0.5000 0.0000 0.4750  2 Na 2.13, 4 Mg 2.13-2.18
6 Mg 0.0000 0.5000 0.2810  4 O 2.01-2.13
7 Mg 0.5000 0.0000 0.6732  5 O 2.12-2.18
8 Mg 0.5000 0.5000 0.4943  5 O 2.04-2.13
9 O 0.0000 0.0000 0.7065  4 Mg 2.15
10 Mg 0.0000 0.5000 0.6732  5 O 2.12-2.18
11 O 0.0000 0.5000 0.0978  3 Mg 2.01-2.13
12 O 0.0000 0.0000 0.2837  4 Mg 2.12, 1 Na 2.21
13 Mg 0.5000 0.0000 0.2810  4 O 2.01-2.13
14 Na 0.0000 0.0000 0.4848  5 O 2.13-2.21
15 K 0.0000 0.0000 0.9641  5 O 2.58-2.83

Its crystal system is tetragonal.

b:
The following is a DFT calculation (GGA-PBE) of KNaMg6O7 after structural relaxation.

Lattice parameters (Å, degrees): 8.2358 4.6352 4.6352 90.00 90.00 90.00
With the nearest neighbours (Å) after each atom.
Atoms (fractional coordinates):
1 K 0.0323 0.0000 0.0000  5 O 2.32
2 O 0.0104 0.0000 0.5000  2 Mg 1.96-2.14
3 Na 0.4983 0.0000 0.0000  5 O 2.08-2.32
4 O 0.7467 0.5000 0.5000  2 Mg 2.04-2.05
5 O 0.4819 0.0000 0.5000  1 Mg 1.93
6 Mg 0.2479 0.0000 0.5000  2 O 1.93-1.96
7 O 0.0104 0.5000 0.0000  2 Mg 1.96-2.14
8 Mg 0.7503 0.5000 0.0000  6 O 2.14-2.32
9 O 0.2470 0.5000 0.5000  6 Mg 2.07-2.32
10 O 0.7509 0.0000 0.0000  1 Na 2.08, 4 Mg 2.32, 1 K 2.32
11 Mg 0.2479 0.5000 0.0000  2 O 1.93-1.96
12 Mg 0.4987 0.5000 0.5000  2 O 2.04-2.07
13 Mg 0.9952 0.5000 0.5000  2 O 2.05-2.07
14 O 0.4819 0.5000 0.0000  1 Mg 1.93
15 Mg 0.7503 0.0000 0.5000  6 O 2.14-2.32

Its crystal system is tetragonal.

Which one sits at the bottom of the stability order? a does.